The following is a PBE calculation of crystalline Na3MgZrP3O12 at its relaxed geometry, from Materials Project. Values from VASP.

Geometry as Quantum ESPRESSO input:
```
&SYSTEM
  ibrav = 0, nat = 120, ntyp = 5
/
ATOMIC_SPECIES
Na 22.99 Na.upf
P 30.97 P.upf
O 16.00 O.upf
Zr 91.22 Zr.upf
Mg 24.30 Mg.upf
ATOMIC_POSITIONS crystal
Na 0.709 0.039 0.584
P 0.474 0.238 0.513
Na 0.402 0.186 0.036
Na 0.545 0.086 0.794
O 0.773 0.992 0.792
Zr 0.199 0.815 0.549
P 0.434 0.867 0.683
Zr 0.141 0.869 0.287
O 0.556 0.074 0.925
O 0.379 0.787 0.501
P 0.767 0.526 0.016
Mg 0.198 0.801 0.049
P 0.622 0.966 0.086
O 0.259 0.961 0.971
Na 0.339 0.683 0.832
Na 0.665 0.325 0.673
O 0.892 0.335 0.873
Zr 0.464 0.531 0.116
O 0.992 0.159 0.408
O 0.280 0.120 0.765
Na 0.007 0.018 0.499
O 0.670 0.172 0.258
O 0.119 0.050 0.333
P 0.572 0.137 0.318
O 0.284 0.541 0.170
Mg 0.867 0.138 0.214
O 0.603 0.035 0.688
Zr 0.471 0.523 0.622
Mg 0.795 0.198 0.449
O 0.944 0.451 0.429
P 0.234 0.479 0.983
O 0.742 0.036 0.031
O 0.206 0.627 0.993
Na 0.686 0.323 0.165
Zr 0.534 0.479 0.880
P 0.902 0.804 0.652
O 0.581 0.625 0.304
O 0.387 0.215 0.903
O 0.937 0.687 0.024
O 0.002 0.231 0.295
Na 0.344 0.668 0.339
O 0.367 0.274 0.146
O 0.964 0.251 0.528
P 0.094 0.207 0.349
O 0.337 0.880 0.627
O 0.171 0.993 0.095
O 0.078 0.700 0.361
O 0.720 0.880 0.237
O 0.037 0.748 0.471
P 0.702 0.706 0.250
Na 0.120 0.222 0.871
Na 0.211 0.416 0.460
O 0.447 0.945 0.074
O 0.331 0.453 0.037
P 0.033 0.372 0.583
O 0.963 0.402 0.194
O 0.628 0.581 0.194
O 0.655 0.489 0.074
O 0.119 0.278 0.738
O 0.866 0.950 0.659
P 0.127 0.569 0.181
Na 0.750 0.884 0.372
O 0.052 0.549 0.569
Na 0.365 0.355 0.257
O 0.110 0.669 0.130
O 0.998 0.832 0.589
O 0.460 0.713 0.669
Na 0.466 0.915 0.204
O 0.916 0.300 0.638
O 0.302 0.068 0.523
O 0.881 0.726 0.262
O 0.217 0.406 0.596
O 0.825 0.325 0.760
O 0.732 0.629 0.641
Na 0.784 0.568 0.535
O 0.701 0.936 0.479
O 0.035 0.603 0.812
O 0.067 0.307 0.974
O 0.839 0.011 0.903
P 0.197 0.097 0.152
Mg 0.130 0.867 0.782
O 0.665 0.110 0.370
O 0.446 0.335 0.463
O 0.634 0.731 0.855
O 0.299 0.918 0.860
Mg 0.869 0.129 0.716
O 0.491 0.660 0.426
Na 0.082 0.543 0.708
P 0.871 0.430 0.819
P 0.956 0.623 0.417
P 0.803 0.902 0.844
O 0.556 0.667 0.539
Mg 0.532 0.461 0.384
O 0.045 0.119 0.166
O 0.671 0.545 0.961
O 0.234 0.015 0.209
O 0.178 0.678 0.241
O 0.998 0.776 0.703
O 0.336 0.504 0.923
O 0.269 0.369 0.357
P 0.289 0.288 0.751
P 0.371 0.037 0.915
O 0.366 0.413 0.806
P 0.535 0.764 0.485
O 0.602 0.785 0.100
Na 0.038 0.725 0.918
O 0.398 0.963 0.308
O 0.511 0.343 0.574
Na 0.904 0.432 0.297
O 0.625 0.210 0.506
O 0.419 0.373 0.697
O 0.537 0.285 0.328
O 0.715 0.454 0.834
O 0.956 0.876 0.837
Zr 0.806 0.180 0.955
O 0.778 0.364 0.005
Na 0.896 0.779 0.121
O 0.699 0.080 0.141
O 0.327 0.824 0.741
O 0.784 0.611 0.404
CELL_PARAMETERS angstrom
9.070 0.000 0.000
-4.521 7.874 0.000
-0.035 -0.079 22.205
```

Excess energy over the best structure of this formula in the dataset ... 0.000 eV/atom

***

The following is a PBE calculation of crystalline MgSc2S4 at its relaxed geometry, from Materials Project. Values from VASP.

Geometry as Quantum ESPRESSO input:
```
&SYSTEM
  ibrav = 0, nat = 28, ntyp = 3
/
ATOMIC_SPECIES
Mg 24.30 Mg.upf
Sc 44.96 Sc.upf
S 32.06 S.upf
ATOMIC_POSITIONS crystal
Mg 0.867 0.801 0.701
Sc 0.241 0.876 0.000
Sc 0.759 0.124 0.000
S 0.100 0.149 0.104
S 0.395 0.601 0.894
S 0.900 0.851 0.896
Sc 0.631 0.954 0.302
Sc 0.368 0.554 0.700
Mg 0.249 0.375 0.002
S 0.688 0.031 0.628
S 0.312 0.467 0.370
S 0.811 0.718 0.370
Mg 0.751 0.625 0.998
Mg 0.133 0.199 0.299
S 0.597 0.906 0.107
S 0.403 0.094 0.893
Sc 0.632 0.446 0.300
S 0.688 0.533 0.630
Sc 0.862 0.299 0.699
S 0.103 0.654 0.108
Sc 0.138 0.701 0.301
S 0.188 0.782 0.628
S 0.312 0.969 0.372
S 0.189 0.282 0.630
S 0.605 0.399 0.106
S 0.812 0.218 0.372
Sc 0.369 0.046 0.698
S 0.897 0.346 0.892
CELL_PARAMETERS angstrom
6.869 0.000 0.000
-0.007 7.943 0.000
-1.150 -1.983 12.467
```

Excess energy over the best structure of this formula in the dataset ... 0.173 eV/atom

***

Number 1: volume 1585.8 Å³ per cell, DFT formation energy -2935 meV per atom. Number 2: volume 680.2 Å³ per cell, DFT formation energy -1897 meV per atom.